No. 1
Computed, not measured: a relaxed CsGe crystal at the GGA-PBE level of DFT.

Summary:
Calculated formation energy, eV/atom: -0.1920
Polymorph energy (0 for the lowest one), meV/atom: 20

Cell: 12.624 12.624 12.624 Å, 124.67 124.67 82.09°
Fractional coordinates of all 32 atoms:
Cs: 0.005 0.255 0.511
Cs: 0.109 0.750 0.859
Cs: 0.245 0.495 0.989
Cs: 0.250 0.109 0.859
Cs: 0.250 0.609 0.359
Cs: 0.255 0.245 0.250
Cs: 0.391 0.250 0.641
Cs: 0.495 0.005 0.250
Cs: 0.505 0.995 0.750
Cs: 0.609 0.750 0.359
Cs: 0.745 0.755 0.750
Cs: 0.750 0.391 0.641
Cs: 0.750 0.891 0.141
Cs: 0.755 0.505 0.011
Cs: 0.891 0.250 0.141
Cs: 0.995 0.745 0.489
Ge: 0.019 0.730 0.096
Ge: 0.077 0.981 0.210
Ge: 0.133 0.923 0.404
Ge: 0.230 0.519 0.596
Ge: 0.270 0.867 0.290
Ge: 0.367 0.770 0.790
Ge: 0.423 0.633 0.904
Ge: 0.481 0.577 0.710
Ge: 0.519 0.423 0.290
Ge: 0.577 0.367 0.096
Ge: 0.633 0.230 0.210
Ge: 0.730 0.133 0.710
Ge: 0.770 0.481 0.404
Ge: 0.867 0.077 0.596
Ge: 0.923 0.019 0.790
Ge: 0.981 0.270 0.904

No. 2
Computed, not measured: a relaxed CsGe crystal at the GGA-PBE level of DFT.

Summary:
Calculated formation energy, eV/atom: -0.0718
Polymorph energy (0 for the lowest one), meV/atom: 140

Cell: 7.679 7.679 4.127 Å, 90.00 90.00 135.90°
Fractional coordinates of all 4 atoms:
Cs: 0.148 0.852 0.750
Cs: 0.852 0.148 0.250
Ge: 0.448 0.552 0.750
Ge: 0.552 0.448 0.250

- Which value of calculated formation energy does entry 1 give?
  -0.1920 eV/atom